NdSn6Ru4 after structural relaxation. Source: Materials Project, functional meta-GGA r2SCAN.

The structure in CIF format:
```
data_NdSn6Ru4
_cell_length_a 6.9129
_cell_length_b 6.9129
_cell_length_c 9.8093
_cell_angle_alpha 90.00
_cell_angle_beta 90.00
_cell_angle_gamma 90.00
_space_group_name_H-M_alt 'I -4 2 m'
_space_group_IT_number 121
_space_group_name_Hall 'I -4 2'
loop_
_atom_site_label
_atom_site_type_symbol
_atom_site_fract_x
_atom_site_fract_y
_atom_site_fract_z
_atom_site_occupancy
Nd1 Nd 0.0000 0.0000 0.0000 1
Sn1 Sn 0.0000 0.5000 0.0000 1
Sn2 Sn 0.1769 0.1769 0.7046 1
Ru1 Ru 0.1717 0.1717 0.4212 1
```

Mg2RhAu after structural relaxation. Source: Materials Project, functional meta-GGA r2SCAN.

The structure in CIF format:
```
data_Mg2RhAu
_cell_length_a 6.3225
_cell_length_b 6.3225
_cell_length_c 6.3225
_cell_angle_alpha 90.00
_cell_angle_beta 90.00
_cell_angle_gamma 90.00
_space_group_name_H-M_alt 'F m -3 m'
_space_group_IT_number 225
_space_group_name_Hall '-F 4 2 3'
loop_
_atom_site_label
_atom_site_type_symbol
_atom_site_fract_x
_atom_site_fract_y
_atom_site_fract_z
_atom_site_occupancy
Mg1 Mg 0.2500 0.2500 0.2500 1
Rh1 Rh 0.0000 0.0000 0.0000 1
Au1 Au 0.0000 0.0000 0.5000 1
```

RbBr3 after structural relaxation. Source: Materials Project, functional meta-GGA r2SCAN.

The structure in CIF format:
```
data_RbBr3
_cell_length_a 4.5171
_cell_length_b 4.5171
_cell_length_c 12.8740
_cell_angle_alpha 90.00
_cell_angle_beta 90.00
_cell_angle_gamma 90.00
_space_group_name_H-M_alt 'I 4/m m m'
_space_group_IT_number 139
_space_group_name_Hall '-I 4 2'
loop_
_atom_site_label
_atom_site_type_symbol
_atom_site_fract_x
_atom_site_fract_y
_atom_site_fract_z
_atom_site_occupancy
Rb1 Rb 0.0000 0.0000 0.0000 1
Br1 Br 0.0000 0.0000 0.5000 1
Br2 Br 0.0000 0.5000 0.2500 1
```

Ba3V2S4O3 after structural relaxation. Source: Materials Project, functional meta-GGA r2SCAN.

The structure in CIF format:
```
data_Ba3V2S4O3
_cell_length_a 10.2090
_cell_length_b 6.0052
_cell_length_c 10.2253
_cell_angle_alpha 90.00
_cell_angle_beta 119.91
_cell_angle_gamma 90.00
_space_group_name_H-M_alt 'P 1 21 1'
_space_group_IT_number 4
_space_group_name_Hall 'P 2yb'
loop_
_atom_site_label
_atom_site_type_symbol
_atom_site_fract_x
_atom_site_fract_y
_atom_site_fract_z
_atom_site_occupancy
Ba1 Ba 0.0678 0.0000 0.1903 1
Ba2 Ba 0.3114 0.9997 0.8794 1
Ba3 Ba 0.3779 0.4992 0.5677 1
V1 V 0.0005 0.2653 0.5003 1
V2 V 0.3330 0.6415 0.1667 1
S1 S 0.0343 0.5154 0.3269 1
S2 S 0.1747 0.5160 0.7105 1
S3 S 0.2083 0.0157 0.5367 1
S4 S 0.3337 0.2738 0.1671 1
O1 O 0.1625 0.7430 0.0322 1
O2 O 0.3688 0.7428 0.3372 1
O3 O 0.4680 0.7425 0.1310 1
```

PrCo2Ge2 after structural relaxation. Source: Materials Project, functional meta-GGA r2SCAN.

The structure in CIF format:
```
data_PrCo2Ge2
_cell_length_a 4.0031
_cell_length_b 4.0031
_cell_length_c 10.3223
_cell_angle_alpha 90.00
_cell_angle_beta 90.00
_cell_angle_gamma 90.00
_space_group_name_H-M_alt 'I 4/m m m'
_space_group_IT_number 139
_space_group_name_Hall '-I 4 2'
loop_
_atom_site_label
_atom_site_type_symbol
_atom_site_fract_x
_atom_site_fract_y
_atom_site_fract_z
_atom_site_occupancy
Pr1 Pr 0.0000 0.0000 0.0000 1
Co1 Co 0.0000 0.5000 0.2500 1
Ge1 Ge 0.0000 0.0000 0.3657 1
```

Nb2C after structural relaxation. Source: Materials Project, functional meta-GGA r2SCAN.

The structure in CIF format:
```
data_Nb2C
_cell_length_a 3.1484
_cell_length_b 3.1484
_cell_length_c 4.9956
_cell_angle_alpha 90.00
_cell_angle_beta 90.00
_cell_angle_gamma 120.00
_space_group_name_H-M_alt 'P -3 m 1'
_space_group_IT_number 164
_space_group_name_Hall '-P 3 2"'
loop_
_atom_site_label
_atom_site_type_symbol
_atom_site_fract_x
_atom_site_fract_y
_atom_site_fract_z
_atom_site_occupancy
Nb1 Nb 0.3333 0.6667 0.2514 1
C1 C 0.0000 0.0000 0.0000 1
```

ThGeSe after structural relaxation. Source: Materials Project, functional meta-GGA r2SCAN.

The structure in CIF format:
```
data_ThGeSe
_cell_length_a 4.0649
_cell_length_b 4.0649
_cell_length_c 17.6131
_cell_angle_alpha 90.00
_cell_angle_beta 90.00
_cell_angle_gamma 90.00
_space_group_name_H-M_alt 'I 4/m m m'
_space_group_IT_number 139
_space_group_name_Hall '-I 4 2'
loop_
_atom_site_label
_atom_site_type_symbol
_atom_site_fract_x
_atom_site_fract_y
_atom_site_fract_z
_atom_site_occupancy
Th1 Th 0.0000 0.0000 0.1324 1
Ge1 Ge 0.0000 0.5000 0.0000 1
Se1 Se 0.0000 0.0000 0.3118 1
```

NdSnPt after structural relaxation. Source: Materials Project, functional meta-GGA r2SCAN.

The structure in CIF format:
```
data_NdSnPt
_cell_length_a 7.6134
_cell_length_b 7.6134
_cell_length_c 4.1286
_cell_angle_alpha 90.00
_cell_angle_beta 90.00
_cell_angle_gamma 120.00
_space_group_name_H-M_alt 'P -6 2 m'
_space_group_IT_number 189
_space_group_name_Hall 'P -6 -2'
loop_
_atom_site_label
_atom_site_type_symbol
_atom_site_fract_x
_atom_site_fract_y
_atom_site_fract_z
_atom_site_occupancy
Nd1 Nd 0.0000 0.4091 0.0000 1
Sn1 Sn 0.0000 0.7467 0.5000 1
Pt1 Pt 0.0000 0.0000 0.0000 1
Pt2 Pt 0.3333 0.6667 0.5000 1
```

Rb6O after structural relaxation. Source: Materials Project, functional meta-GGA r2SCAN.

The structure in CIF format:
```
data_Rb6O
_cell_length_a 8.5216
_cell_length_b 8.5216
_cell_length_c 30.6771
_cell_angle_alpha 90.00
_cell_angle_beta 90.00
_cell_angle_gamma 120.00
_space_group_name_H-M_alt 'P 63/m'
_space_group_IT_number 176
_space_group_name_Hall '-P 6c'
loop_
_atom_site_label
_atom_site_type_symbol
_atom_site_fract_x
_atom_site_fract_y
_atom_site_fract_z
_atom_site_occupancy
Rb1 Rb 0.0000 0.0000 0.0000 1
Rb2 Rb 0.0727 0.6829 0.1397 1
Rb3 Rb 0.0867 0.4323 0.2500 1
Rb4 Rb 0.3333 0.6667 0.5164 1
O1 O 0.3333 0.6667 0.1870 1
```

CaCr2F12 after structural relaxation. Source: Materials Project, functional meta-GGA r2SCAN.

The structure in CIF format:
```
data_CaCr2F12
_cell_length_a 5.0432
_cell_length_b 5.4640
_cell_length_c 8.7366
_cell_angle_alpha 74.41
_cell_angle_beta 89.90
_cell_angle_gamma 63.15
_space_group_name_H-M_alt 'P -1'
_space_group_IT_number 2
_space_group_name_Hall '-P 1'
loop_
_atom_site_label
_atom_site_type_symbol
_atom_site_fract_x
_atom_site_fract_y
_atom_site_fract_z
_atom_site_occupancy
Ca1 Ca 0.0000 0.0000 0.0000 1
Cr1 Cr 0.2479 0.5182 0.7244 1
F1 F 0.0010 0.2757 0.1531 1
F2 F 0.0017 0.7315 0.5506 1
F3 F 0.0633 0.2945 0.7806 1
F4 F 0.4168 0.7354 0.7064 1
F5 F 0.4893 0.2824 0.6303 1
F6 F 0.4968 0.7169 0.0846 1
```

CeTlAu2 after structural relaxation. Source: Materials Project, functional meta-GGA r2SCAN.

The structure in CIF format:
```
data_CeTlAu2
_cell_length_a 7.2041
_cell_length_b 7.2041
_cell_length_c 7.2041
_cell_angle_alpha 90.00
_cell_angle_beta 90.00
_cell_angle_gamma 90.00
_space_group_name_H-M_alt 'F m -3 m'
_space_group_IT_number 225
_space_group_name_Hall '-F 4 2 3'
loop_
_atom_site_label
_atom_site_type_symbol
_atom_site_fract_x
_atom_site_fract_y
_atom_site_fract_z
_atom_site_occupancy
Ce1 Ce 0.0000 0.0000 0.0000 1
Tl1 Tl 0.0000 0.0000 0.5000 1
Au1 Au 0.2500 0.2500 0.2500 1
```

Pa3Ge after structural relaxation. Source: Materials Project, functional meta-GGA r2SCAN.

The structure in CIF format:
```
data_Pa3Ge
_cell_length_a 4.4745
_cell_length_b 4.4745
_cell_length_c 4.4745
_cell_angle_alpha 90.00
_cell_angle_beta 90.00
_cell_angle_gamma 90.00
_space_group_name_H-M_alt 'P m -3 m'
_space_group_IT_number 221
_space_group_name_Hall '-P 4 2 3'
loop_
_atom_site_label
_atom_site_type_symbol
_atom_site_fract_x
_atom_site_fract_y
_atom_site_fract_z
_atom_site_occupancy
Pa1 Pa 0.0000 0.0000 0.5000 1
Ge1 Ge 0.5000 0.5000 0.5000 1
```

ZrSi2 after structural relaxation. Source: Materials Project, functional meta-GGA r2SCAN.

The structure in CIF format:
```
data_ZrSi2
_cell_length_a 3.6835
_cell_length_b 14.8711
_cell_length_c 3.6733
_cell_angle_alpha 90.00
_cell_angle_beta 90.00
_cell_angle_gamma 90.00
_space_group_name_H-M_alt 'C m c m'
_space_group_IT_number 63
_space_group_name_Hall '-C 2c 2'
loop_
_atom_site_label
_atom_site_type_symbol
_atom_site_fract_x
_atom_site_fract_y
_atom_site_fract_z
_atom_site_occupancy
Zr1 Zr 0.0000 0.1059 0.2500 1
Si1 Si 0.0000 0.2502 0.7500 1
Si2 Si 0.0000 0.4485 0.2500 1
```

KTaF6 after structural relaxation. Source: Materials Project, functional meta-GGA r2SCAN.

The structure in CIF format:
```
data_KTaF6
_cell_length_a 5.2320
_cell_length_b 5.2320
_cell_length_c 9.6523
_cell_angle_alpha 90.00
_cell_angle_beta 90.00
_cell_angle_gamma 90.00
_space_group_name_H-M_alt 'P -4 c 2'
_space_group_IT_number 116
_space_group_name_Hall 'P -4 -2c'
loop_
_atom_site_label
_atom_site_type_symbol
_atom_site_fract_x
_atom_site_fract_y
_atom_site_fract_z
_atom_site_occupancy
K1 K 0.0000 0.0000 0.0000 1
Ta1 Ta 0.5000 0.5000 0.2500 1
F1 F 0.2405 0.2405 0.2500 1
F2 F 0.3154 0.3177 0.6109 1
```

Np2N3 after structural relaxation. Source: Materials Project, functional meta-GGA r2SCAN.

The structure in CIF format:
```
data_Np2N3
_cell_length_a 10.6855
_cell_length_b 10.6855
_cell_length_c 10.6855
_cell_angle_alpha 90.00
_cell_angle_beta 90.00
_cell_angle_gamma 90.00
_space_group_name_H-M_alt 'I a -3'
_space_group_IT_number 206
_space_group_name_Hall '-I 2b 2c 3'
loop_
_atom_site_label
_atom_site_type_symbol
_atom_site_fract_x
_atom_site_fract_y
_atom_site_fract_z
_atom_site_occupancy
Np1 Np 0.0000 0.0000 0.0000 1
Np2 Np 0.0000 0.2500 0.2772 1
N1 N 0.0994 0.1318 0.6322 1
```

PmTmMg2 after structural relaxation. Source: Materials Project, functional meta-GGA r2SCAN.

The structure in CIF format:
```
data_PmTmMg2
_cell_length_a 7.6088
_cell_length_b 7.6088
_cell_length_c 7.6088
_cell_angle_alpha 90.00
_cell_angle_beta 90.00
_cell_angle_gamma 90.00
_space_group_name_H-M_alt 'F m -3 m'
_space_group_IT_number 225
_space_group_name_Hall '-F 4 2 3'
loop_
_atom_site_label
_atom_site_type_symbol
_atom_site_fract_x
_atom_site_fract_y
_atom_site_fract_z
_atom_site_occupancy
Pm1 Pm 0.0000 0.0000 0.0000 1
Tm1 Tm 0.0000 0.0000 0.5000 1
Mg1 Mg 0.2500 0.2500 0.2500 1
```

YbBrO after structural relaxation. Source: Materials Project, functional meta-GGA r2SCAN.

The structure in CIF format:
```
data_YbBrO
_cell_length_a 3.7514
_cell_length_b 3.7514
_cell_length_c 8.5311
_cell_angle_alpha 90.00
_cell_angle_beta 90.00
_cell_angle_gamma 90.00
_space_group_name_H-M_alt 'P 4/n m m'
_space_group_IT_number 129
loop_
_space_group_symop_operation_xyz
'x,y,z'
'-x,-y,-z'
'-y+1/2,x,z'
'y+1/2,-x,-z'
'-x+1/2,-y+1/2,z'
'x+1/2,y+1/2,-z'
'y,-x+1/2,z'
'-y,x+1/2,-z'
'x+1/2,-y,-z'
'-x+1/2,y,z'
'-y,-x,-z'
'y,x,z'
'-x,y+1/2,-z'
'x,-y+1/2,z'
'y+1/2,x+1/2,-z'
'-y+1/2,-x+1/2,z'
loop_
_atom_site_label
_atom_site_type_symbol
_atom_site_fract_x
_atom_site_fract_y
_atom_site_fract_z
_atom_site_occupancy
Yb1 Yb 0.2500 0.2500 0.1280 1
Br1 Br 0.2500 0.2500 0.6779 1
O1 O 0.2500 0.7500 0.0000 1
```

CeMg2 after structural relaxation. Source: Materials Project, functional meta-GGA r2SCAN.

The structure in CIF format:
```
data_CeMg2
_cell_length_a 13.2609
_cell_length_b 3.1803
_cell_length_c 7.4354
_cell_angle_alpha 90.00
_cell_angle_beta 102.98
_cell_angle_gamma 90.00
_space_group_name_H-M_alt 'C 1 2/m 1'
_space_group_IT_number 12
_space_group_name_Hall '-C 2y'
loop_
_atom_site_label
_atom_site_type_symbol
_atom_site_fract_x
_atom_site_fract_y
_atom_site_fract_z
_atom_site_occupancy
Ce1 Ce 0.0139 0.0000 0.3174 1
Mg1 Mg 0.1510 0.5000 0.0345 1
Mg2 Mg 0.2077 0.5000 0.6451 1
```

Eu3Pd2 after structural relaxation. Source: Materials Project, functional meta-GGA r2SCAN.

The structure in CIF format:
```
data_Eu3Pd2
_cell_length_a 9.1482
_cell_length_b 9.1482
_cell_length_c 17.3132
_cell_angle_alpha 90.00
_cell_angle_beta 90.00
_cell_angle_gamma 120.00
_space_group_name_H-M_alt 'R -3'
_space_group_IT_number 148
_space_group_name_Hall '-R 3'
loop_
_atom_site_label
_atom_site_type_symbol
_atom_site_fract_x
_atom_site_fract_y
_atom_site_fract_z
_atom_site_occupancy
Eu1 Eu 0.0000 0.0000 0.0000 1
Eu2 Eu 0.0000 0.0000 0.2035 1
Eu3 Eu 0.0124 0.2579 0.5936 1
Pd1 Pd 0.0222 0.6083 0.5659 1
```

La2ThS5 after structural relaxation. Source: Materials Project, functional meta-GGA r2SCAN.

The structure in CIF format:
```
data_La2ThS5
_cell_length_a 12.1739
_cell_length_b 8.3726
_cell_length_c 7.6468
_cell_angle_alpha 90.00
_cell_angle_beta 90.00
_cell_angle_gamma 90.00
_space_group_name_H-M_alt 'P n m a'
_space_group_IT_number 62
_space_group_name_Hall '-P 2ac 2n'
loop_
_atom_site_label
_atom_site_type_symbol
_atom_site_fract_x
_atom_site_fract_y
_atom_site_fract_z
_atom_site_occupancy
La1 La 0.1768 0.0010 0.0223 1
Th1 Th 0.0086 0.2500 0.5726 1
S1 S 0.0022 0.2500 0.9552 1
S2 S 0.0975 0.5405 0.6625 1
S3 S 0.1879 0.2500 0.3326 1
S4 S 0.2154 0.7500 0.3042 1
```

Number 1: energy of formation -3.812 eV/f.u., raw total energy -566.8 eV for the cell shown. Number 2: energy of formation -2.239 eV/f.u., raw total energy -341.2 eV for the cell shown. Number 3: energy of formation -2.814 eV/f.u., raw total energy -113.0 eV for the cell shown. Number 4: energy of formation -28.244 eV/f.u., raw total energy -372.0 eV for the cell shown. Number 5: energy of formation -2.621 eV/f.u., raw total energy -172.5 eV for the cell shown. Number 6: energy of formation -1.578 eV/f.u., raw total energy -61.0 eV for the cell shown. Number 7: energy of formation -4.357 eV/f.u., raw total energy -424.1 eV for the cell shown. Number 8: energy of formation -3.447 eV/f.u., raw total energy -327.3 eV for the cell shown. Number 9: energy of formation -3.330 eV/f.u., raw total energy -371.6 eV for the cell shown. Number 10: energy of formation -40.955 eV/f.u., raw total energy -115.7 eV for the cell shown. Number 11: energy of formation -2.482 eV/f.u., raw total energy -750.7 eV for the cell shown. Number 12: energy of formation -1.298 eV/f.u., raw total energy -245.7 eV for the cell shown. Number 13: energy of formation -1.972 eV/f.u., raw total energy -169.1 eV for the cell shown. Number 14: energy of formation -27.701 eV/f.u., raw total energy -202.1 eV for the cell shown. Number 15: energy of formation -8.204 eV/f.u., raw total energy -3226.2 eV for the cell shown. Number 16: energy of formation -0.374 eV/f.u., raw total energy -293.5 eV for the cell shown. Number 17: energy of formation -9.865 eV/f.u., raw total energy -131.3 eV for the cell shown. Number 18: energy of formation -0.055 eV/f.u., raw total energy -156.9 eV for the cell shown. Number 19: energy of formation -3.153 eV/f.u., raw total energy -1481.7 eV for the cell shown. Number 20: energy of formation -19.746 eV/f.u., raw total energy -771.5 eV for the cell shown.